This record from the Materials Project database describes an optimized crystal structure of Al5Re24. The functional is PBE.

Values from the calculation:
The space group is I-43m, No. 217.

```
data_Al5Re24
_symmetry_space_group_name_H-M 'P 1'
_symmetry_Int_Tables_number 1
_cell_length_a 8.338
_cell_length_b 8.338
_cell_length_c 8.338
_cell_angle_alpha 109.47
_cell_angle_beta 109.47
_cell_angle_gamma 109.47
loop_
_symmetry_equiv_pos_as_xyz
'x,y,z'
loop_
_atom_site_label
_atom_site_fract_x
_atom_site_fract_y
_atom_site_fract_z
Re1 0.000 0.375 0.192
Re2 0.817 0.625 0.625
Re3 0.680 0.000 0.399
Re4 0.718 0.320 0.320
Re5 0.399 0.680 0.000
Re6 0.282 0.601 0.601
Al1 0.000 0.641 0.000
Al2 0.000 0.000 0.641
Re7 0.625 0.625 0.817
Re8 0.375 0.000 0.192
Re9 0.601 0.601 0.282
Re10 0.808 0.183 0.808
Re11 0.183 0.808 0.808
Re12 0.000 0.192 0.375
Re13 0.000 0.399 0.680
Re14 0.375 0.192 0.000
Al3 0.000 0.000 0.000
Re15 0.000 0.680 0.399
Re16 0.808 0.808 0.183
Al4 0.359 0.359 0.359
Re17 0.320 0.320 0.718
Re18 0.320 0.718 0.320
Re19 0.399 0.000 0.680
Re20 0.601 0.282 0.601
Re21 0.625 0.817 0.625
Re22 0.680 0.399 0.000
Al5 0.641 0.000 0.000
Re23 0.192 0.000 0.375
Re24 0.192 0.375 0.000
```

=====

This record from the Materials Project database describes an optimized crystal structure of Ca2SnS4. The functional is PBE.

Values from the calculation:
The space group is I-4, No. 82. Its largest piezoelectric modulus is 0.3 C/m².

```
data_Ca2SnS4
_symmetry_space_group_name_H-M 'P 1'
_symmetry_Int_Tables_number 1
_cell_length_a 7.535
_cell_length_b 7.535
_cell_length_c 7.535
_cell_angle_alpha 133.52
_cell_angle_beta 133.52
_cell_angle_gamma 67.83
loop_
_symmetry_equiv_pos_as_xyz
'x,y,z'
loop_
_atom_site_label
_atom_site_fract_x
_atom_site_fract_y
_atom_site_fract_z
Sn1 0.750 0.250 0.500
S1 0.867 0.914 0.520
S2 0.394 0.346 0.480
Ca1 0.250 0.750 0.500
S3 0.086 0.606 0.952
S4 0.654 0.133 0.048
Ca2 0.500 0.500 0.000
```

=====

This record from the Materials Project database describes an optimized crystal structure of ZrBr. The functional is PBE.

Values from the calculation:
The space group is P-3m1, No. 164.

```
data_ZrBr
_symmetry_space_group_name_H-M 'P 1'
_symmetry_Int_Tables_number 1
_cell_length_a 3.451
_cell_length_b 3.451
_cell_length_c 10.036
_cell_angle_alpha 90.00
_cell_angle_beta 90.00
_cell_angle_gamma 120.00
loop_
_symmetry_equiv_pos_as_xyz
'x,y,z'
loop_
_atom_site_label
_atom_site_fract_x
_atom_site_fract_y
_atom_site_fract_z
Br1 0.667 0.333 0.818
Zr1 0.333 0.667 0.623
Zr2 0.667 0.333 0.377
Br2 0.333 0.667 0.182
```

=====

This record from the Materials Project database describes an optimized crystal structure of Li4HN. The functional is PBE.

Values from the calculation:
The space group is I4_1/a, No. 88.

```
data_Li4HN
_symmetry_space_group_name_H-M 'P 1'
_symmetry_Int_Tables_number 1
_cell_length_a 6.040
_cell_length_b 6.040
_cell_length_c 6.040
_cell_angle_alpha 132.60
_cell_angle_beta 132.60
_cell_angle_gamma 69.28
loop_
_symmetry_equiv_pos_as_xyz
'x,y,z'
loop_
_atom_site_label
_atom_site_fract_x
_atom_site_fract_y
_atom_site_fract_z
H1 0.000 0.000 0.000
N1 0.500 0.500 0.000
Li1 0.467 0.866 0.018
Li2 0.550 0.533 0.399
Li3 0.283 0.384 0.482
Li4 0.134 0.151 0.601
Li5 0.200 0.717 0.101
Li6 0.616 0.099 0.899
Li7 0.901 0.800 0.518
N2 0.250 0.750 0.500
H2 0.750 0.250 0.500
Li8 0.849 0.450 0.982
```

=====

This record from the Materials Project database describes an optimized crystal structure of Al2O3. The functional is PBE.

Values from the calculation:
The space group is Pn-3m, No. 224.

```
data_Al2O3
_symmetry_space_group_name_H-M 'P 1'
_symmetry_Int_Tables_number 1
_cell_length_a 4.614
_cell_length_b 4.614
_cell_length_c 4.614
_cell_angle_alpha 90.00
_cell_angle_beta 90.00
_cell_angle_gamma 90.00
loop_
_symmetry_equiv_pos_as_xyz
'x,y,z'
loop_
_atom_site_label
_atom_site_fract_x
_atom_site_fract_y
_atom_site_fract_z
Al1 0.250 0.250 0.250
O1 0.500 0.000 0.000
O2 0.500 0.500 0.000
Al2 0.750 0.750 0.250
O3 0.000 0.500 0.000
O4 0.000 0.000 0.500
O5 0.000 0.500 0.500
Al3 0.750 0.250 0.750
Al4 0.250 0.750 0.750
O6 0.500 0.000 0.500
```

=====

This record from the Materials Project database describes an optimized crystal structure of AuF3. The functional is PBE.

Values from the calculation:
The space group is P6_122, No. 178. Its largest piezoelectric modulus is 0.0 C/m².

```
data_AuF3
_symmetry_space_group_name_H-M 'P 1'
_symmetry_Int_Tables_number 1
_cell_length_a 5.324
_cell_length_b 5.324
_cell_length_c 16.617
_cell_angle_alpha 90.00
_cell_angle_beta 90.00
_cell_angle_gamma 120.00
loop_
_symmetry_equiv_pos_as_xyz
'x,y,z'
loop_
_atom_site_label
_atom_site_fract_x
_atom_site_fract_y
_atom_site_fract_z
Au1 0.241 0.759 0.917
F1 0.536 0.312 0.496
F2 0.224 0.688 0.504
Au2 0.241 0.481 0.250
Au3 0.519 0.759 0.583
F3 0.464 0.688 0.996
F4 0.536 0.224 0.671
F5 0.000 0.833 0.833
F6 0.833 0.833 0.667
F7 0.776 0.464 0.162
F8 0.167 0.000 0.000
F9 0.312 0.776 0.329
F10 0.000 0.167 0.333
F11 0.688 0.224 0.829
F12 0.224 0.536 0.662
F13 0.464 0.776 0.171
Au4 0.759 0.519 0.750
F14 0.688 0.464 0.338
F15 0.167 0.167 0.167
F16 0.833 0.000 0.500
Au5 0.481 0.241 0.083
F17 0.312 0.536 0.838
Au6 0.759 0.241 0.417
F18 0.776 0.312 0.004
```

=====

This record from the Materials Project database describes an optimized crystal structure of SiO2. The functional is PBE.

Values from the calculation:
The space group is P6_3/mmc, No. 194.

```
data_SiO2
_symmetry_space_group_name_H-M 'P 1'
_symmetry_Int_Tables_number 1
_cell_length_a 5.276
_cell_length_b 5.276
_cell_length_c 8.612
_cell_angle_alpha 90.00
_cell_angle_beta 90.00
_cell_angle_gamma 120.00
loop_
_symmetry_equiv_pos_as_xyz
'x,y,z'
loop_
_atom_site_label
_atom_site_fract_x
_atom_site_fract_y
_atom_site_fract_z
O1 0.333 0.667 0.250
O2 0.500 0.500 0.500
O3 0.500 0.000 0.500
Si1 0.333 0.667 0.062
O4 0.000 0.500 0.000
O5 0.667 0.333 0.750
O6 0.000 0.500 0.500
Si2 0.333 0.667 0.438
Si3 0.667 0.333 0.938
O7 0.500 0.500 0.000
Si4 0.667 0.333 0.562
O8 0.500 0.000 0.000
```

=====

This record from the Materials Project database describes an optimized crystal structure of PmDyIn2. The functional is PBE.

Values from the calculation:
The space group is Fm-3m, No. 225.

```
data_PmDyIn2
_symmetry_space_group_name_H-M 'P 1'
_symmetry_Int_Tables_number 1
_cell_length_a 5.386
_cell_length_b 5.386
_cell_length_c 5.386
_cell_angle_alpha 60.00
_cell_angle_beta 60.00
_cell_angle_gamma 60.00
loop_
_symmetry_equiv_pos_as_xyz
'x,y,z'
loop_
_atom_site_label
_atom_site_fract_x
_atom_site_fract_y
_atom_site_fract_z
Pm1 0.500 0.500 0.500
In1 0.750 0.750 0.750
In2 0.250 0.250 0.250
Dy1 0.000 0.000 0.000
```

=====

This record from the Materials Project database describes an optimized crystal structure of Cs4IrO4. The functional is PBE.

Values from the calculation:
The space group is C2/m, No. 12.

```
data_Cs4IrO4
_symmetry_space_group_name_H-M 'P 1'
_symmetry_Int_Tables_number 1
_cell_length_a 6.292
_cell_length_b 6.292
_cell_length_c 6.784
_cell_angle_alpha 74.17
_cell_angle_beta 74.17
_cell_angle_gamma 65.60
loop_
_symmetry_equiv_pos_as_xyz
'x,y,z'
loop_
_atom_site_label
_atom_site_fract_x
_atom_site_fract_y
_atom_site_fract_z
Cs1 0.809 0.809 0.591
Ir1 0.000 0.000 0.000
Cs2 0.385 0.385 0.842
O1 0.905 0.307 0.817
O2 0.307 0.905 0.817
O3 0.693 0.095 0.183
Cs3 0.191 0.191 0.409
Cs4 0.615 0.615 0.158
O4 0.095 0.693 0.183
```

=====

This record from the Materials Project database describes an optimized crystal structure of Na4NpO5. The functional is PBE.

Values from the calculation:
The space group is I4/m, No. 87.

```
data_Na4NpO5
_symmetry_space_group_name_H-M 'P 1'
_symmetry_Int_Tables_number 1
_cell_length_a 5.879
_cell_length_b 5.879
_cell_length_c 5.879
_cell_angle_alpha 98.99
_cell_angle_beta 98.99
_cell_angle_gamma 133.44
loop_
_symmetry_equiv_pos_as_xyz
'x,y,z'
loop_
_atom_site_label
_atom_site_fract_x
_atom_site_fract_y
_atom_site_fract_z
Na1 0.601 0.801 0.402
Na2 0.399 0.199 0.598
O1 0.747 0.076 0.824
Np1 0.000 0.000 0.000
Na3 0.199 0.601 0.800
Na4 0.801 0.399 0.200
O2 0.924 0.747 0.671
O3 0.076 0.253 0.329
O4 0.253 0.924 0.176
O5 0.500 0.500 0.000
```

=====

This record from the Materials Project database describes an optimized crystal structure of MgSc2Ru. The functional is PBE.

Values from the calculation:
The space group is P4/mmm, No. 123.

```
data_MgSc2Ru
_symmetry_space_group_name_H-M 'P 1'
_symmetry_Int_Tables_number 1
_cell_length_a 3.265
_cell_length_b 3.265
_cell_length_c 7.639
_cell_angle_alpha 90.00
_cell_angle_beta 90.00
_cell_angle_gamma 90.00
loop_
_symmetry_equiv_pos_as_xyz
'x,y,z'
loop_
_atom_site_label
_atom_site_fract_x
_atom_site_fract_y
_atom_site_fract_z
Sc1 0.500 0.500 0.200
Sc2 0.500 0.500 0.800
Ru1 0.000 0.000 0.000
Mg1 0.000 0.000 0.500
```

=====

This record from the Materials Project database describes an optimized crystal structure of Ba2SrI6. The functional is PBE.

Values from the calculation:
The space group is P-4b2, No. 117.

```
data_Ba2SrI6
_symmetry_space_group_name_H-M 'P 1'
_symmetry_Int_Tables_number 1
_cell_length_a 8.297
_cell_length_b 8.297
_cell_length_c 24.897
_cell_angle_alpha 90.00
_cell_angle_beta 90.00
_cell_angle_gamma 90.00
loop_
_symmetry_equiv_pos_as_xyz
'x,y,z'
loop_
_atom_site_label
_atom_site_fract_x
_atom_site_fract_y
_atom_site_fract_z
I1 0.752 0.247 0.750
I2 0.226 0.770 0.081
I3 0.738 0.764 0.419
Ba1 0.500 0.000 0.835
Sr1 0.500 0.500 0.000
I4 0.753 0.752 0.250
I5 0.247 0.248 0.250
Sr2 0.000 0.500 0.500
I6 0.274 0.270 0.081
I7 0.764 0.262 0.581
I8 0.730 0.274 0.919
Ba2 0.000 0.500 0.835
I9 0.774 0.230 0.081
I10 0.238 0.736 0.419
Ba3 0.500 0.500 0.334
I11 0.726 0.730 0.081
Sr3 0.500 0.000 0.500
Ba4 0.000 0.500 0.165
I12 0.748 0.747 0.750
Sr4 0.000 0.000 0.000
Ba5 0.500 0.000 0.165
I13 0.236 0.738 0.581
I14 0.762 0.264 0.419
I15 0.770 0.774 0.919
Ba6 0.000 0.000 0.666
I16 0.253 0.748 0.250
I17 0.264 0.238 0.581
I18 0.747 0.252 0.250
I19 0.230 0.226 0.919
Ba7 0.500 0.500 0.666
I20 0.736 0.762 0.581
I21 0.252 0.253 0.750
I22 0.262 0.236 0.419
Ba8 0.000 0.000 0.334
I23 0.270 0.726 0.919
I24 0.248 0.753 0.750
```

=====

Number 1: energy of formation from the pure elements -0.0750 eV/atom, E_tot -11.020 eV per atom. Number 2: energy of formation from the pure elements -1.4850 eV/atom, E_tot -4.707 eV per atom. Number 3: energy of formation from the pure elements -1.2049 eV/atom, E_tot -6.030 eV per atom. Number 4: energy of formation from the pure elements -0.4411 eV/atom, E_tot -3.608 eV per atom. Number 5: energy of formation from the pure elements -2.5559 eV/atom, E_tot -6.611 eV per atom. Number 6: energy of formation from the pure elements -1.3183 eV/atom, E_tot -3.226 eV per atom. Number 7: energy of formation from the pure elements -3.2554 eV/atom, E_tot -7.904 eV per atom. Number 8: energy of formation from the pure elements -0.4732 eV/atom, E_tot -4.188 eV per atom. Number 9: energy of formation from the pure elements -1.4510 eV/atom, E_tot -4.725 eV per atom. Number 10: energy of formation from the pure elements -2.5707 eV/atom, E_tot -6.525 eV per atom. Number 11: energy of formation from the pure elements -0.4098 eV/atom, E_tot -6.295 eV per atom. Number 12: energy of formation from the pure elements -2.0071 eV/atom, E_tot -3.385 eV per atom.